# Y2MgV2O7, optimized geometry, DFT PBE with a Hubbard U
data_Y2MgV2O7
_space_group_name_H-M_alt 'C 1 2 1'
_space_group_IT_number 5
_space_group_name_Hall 'C 2y'
_cell_length_a 6.469
_cell_length_b 9.952
_cell_length_c 5.478
_cell_angle_alpha 90.00
_cell_angle_beta 102.84
_cell_angle_gamma 90.00
loop_
_atom_site_label
_atom_site_fract_x
_atom_site_fract_y
_atom_site_fract_z
_atom_site_occupancy
Y1 0.000 0.000 0.000 1
Y2 0.000 0.353 0.000 1
Mg1 0.000 0.474 0.500 1
V1 0.240 0.185 0.615 1
O1 0.000 0.671 0.500 1
O2 0.058 0.177 0.272 1
O3 0.214 0.504 0.229 1
O4 0.238 0.375 0.752 1
# Total magnetization: 7.99 μB/cell
# E above lowest polymorph: 16 meV per atom
# Formation energy from the elements: -3.0473 eV per atom
# Energy with MP2020 corrections: -8.659 eV/atom